# Mn2Ge (PBE, optimized geometry)
# Spin magnetization: 4.541 μB per formula unit
# Final energy: -46.2 eV for the cell shown
# ΔH_f (0 K): -43 meV per atom
data_Mn2Ge
_chemical_formula_sum 'Mn4 Ge2'
_symmetry_space_group_name_H-M 'P 63/m m c'
_symmetry_Int_Tables_number 194
_symmetry_space_group_name_Hall '-P 6c 2c'
_cell_length_a 4.1868
_cell_length_b 4.1868
_cell_length_c 5.1061
_cell_angle_alpha 90.00
_cell_angle_beta 90.00
_cell_angle_gamma 120.00
loop_
_atom_site_label
_atom_site_type_symbol
_atom_site_fract_x
_atom_site_fract_y
_atom_site_fract_z
Mn1 Mn 0.0000 0.0000 0.0000
Mn2 Mn 0.3333 0.6667 0.2500
Ge1 Ge 0.3333 0.6667 0.7500